DFT (PBE-GGA) results for Hg4AsI5 after structural relaxation. Values from VASP.

Quantum ESPRESSO input file:
```
&SYSTEM
  ibrav = 0, nat = 40, ntyp = 3
/
ATOMIC_SPECIES
Hg 200.59 Hg.upf
As 74.92 As.upf
I 126.90 I.upf
CELL_PARAMETERS angstrom
6.195 -6.255 0.000
6.195 6.255 0.000
0.000 0.000 20.551
ATOMIC_POSITIONS crystal
Hg 0.053 0.947 0.829
Hg 0.057 0.266 0.672
Hg 0.234 0.443 0.828
Hg 0.235 0.765 0.671
Hg 0.265 0.735 0.171
Hg 0.266 0.057 0.328
Hg 0.443 0.234 0.172
Hg 0.447 0.553 0.329
Hg 0.553 0.447 0.671
Hg 0.557 0.766 0.828
Hg 0.734 0.943 0.672
Hg 0.735 0.265 0.829
Hg 0.765 0.235 0.329
Hg 0.766 0.557 0.172
Hg 0.943 0.734 0.328
Hg 0.947 0.053 0.171
As 0.106 0.894 0.250
As 0.394 0.606 0.750
As 0.606 0.394 0.250
As 0.894 0.106 0.750
I 0.069 0.291 0.917
I 0.073 0.927 0.584
I 0.110 0.390 0.250
I 0.209 0.431 0.583
I 0.213 0.787 0.918
I 0.287 0.713 0.418
I 0.291 0.069 0.083
I 0.390 0.110 0.750
I 0.427 0.573 0.084
I 0.431 0.209 0.417
I 0.569 0.791 0.583
I 0.573 0.427 0.916
I 0.610 0.890 0.250
I 0.709 0.931 0.917
I 0.713 0.287 0.582
I 0.787 0.213 0.082
I 0.791 0.569 0.417
I 0.890 0.610 0.750
I 0.927 0.073 0.416
I 0.931 0.709 0.083
```

Computed properties:
- M_tot (Bohr magnetons per cell) = 0.0
- calculated formation energy (eV per atom) = -0.4277